AlPO4 | Materials Project | PBE | relaxed; space-group type = No. 1; formation enthalpy at 0 K = -2.84 eV/atom
1.0
8.6408 0.0000 0.0000
-0.0292 13.7780 0.0000
-0.0399 -6.7197 12.3586
O Al P
48 12 12
Cartesian
6.7565 9.5164 7.8274 O
6.4985 9.6969 2.5614 O
1.8855 8.7219 5.3147 O
2.3221 5.2275 5.3237 O
6.3874 0.1257 10.3537 O
8.3803 2.7550 8.2924 O
2.0456 6.9906 7.1710 O
6.2668 2.4971 9.6031 O
1.9387 9.3951 7.7890 O
6.0270 2.0822 12.0873 O
2.6631 2.4904 4.7036 O
4.2871 10.1055 4.6535 O
2.2020 0.1037 10.3814 O
2.2145 4.1481 2.5530 O
6.7087 8.8008 5.3753 O
4.3100 -2.6832 8.2852 O
-0.0247 -0.7592 10.5304 O
1.8622 -1.5826 7.1406 O
6.5550 4.1033 2.4498 O
0.0006 -0.7837 5.6556 O
4.3242 5.3302 0.8116 O
6.4645 6.9370 1.8789 O
2.2336 0.0576 5.2278 O
2.1930 2.5113 9.7587 O
6.2174 5.1310 5.1609 O
6.7905 -2.2611 9.7709 O
6.4204 7.1135 7.2861 O
5.9942 2.4772 4.6976 O
2.1316 6.9114 1.9512 O
1.8044 -2.2692 9.7552 O
0.0073 8.5889 0.8141 O
6.9133 -1.6478 12.2273 O
1.9062 4.5932 7.7512 O
-0.0370 8.1522 6.8785 O
6.4312 0.1020 5.3116 O
6.7863 -1.5460 7.1720 O
4.2723 1.3073 10.3348 O
4.0849 5.6335 7.1343 O
6.3458 1.7775 7.1981 O
1.6601 -1.6647 12.2299 O
2.1535 1.7524 7.1078 O
1.7702 -2.3403 4.6854 O
0.0009 3.6515 4.6239 O
2.1337 9.7096 2.5265 O
6.8219 -2.2924 4.6988 O
2.6305 1.9559 12.2036 O
4.3015 1.0548 6.0559 O
6.3819 4.2718 7.8779 O
5.7930 5.5758 6.6908 Al
5.9003 9.8874 4.1139 Al
1.5833 8.4450 1.4927 Al
5.9072 5.3770 1.4904 Al
2.6859 9.8943 4.0899 Al
1.4983 2.9767 8.2232 Al
7.0863 8.4612 1.5146 Al
7.0458 4.0922 4.0605 Al
2.6268 -2.7879 8.2726 Al
1.5960 3.9945 4.0936 Al
5.9950 -2.7592 8.2784 Al
2.7470 5.3955 1.4940 Al
2.6152 5.5489 6.7567 P
5.7932 1.4656 5.7247 P
5.7669 1.5002 10.7723 P
1.4987 8.3998 6.7197 P
7.1264 -1.2821 5.7233 P
7.1353 -1.2519 10.8400 P
1.4675 -1.2567 10.8374 P
1.5138 -1.2954 5.6965 P
2.7657 1.4569 5.7467 P
7.0213 8.4215 6.7920 P
6.8838 2.9109 8.2162 P
2.7396 1.5395 10.8051 P



Rb2RhAuF6 | Materials Project | PBE | relaxed; space-group type = No. 225; formation enthalpy at 0 K = -2.08 eV/atom
1.0
0.0000 4.4533 4.4533
4.4533 0.0000 4.4533
4.4533 4.4533 0.0000
F Au Rb Rh
6 1 2 1
Cartesian
4.4533 6.8646 4.4533 F
4.4533 4.4533 6.8646 F
4.4533 2.0419 4.4533 F
2.0419 4.4533 4.4533 F
4.4533 4.4533 2.0419 F
6.8646 4.4533 4.4533 F
4.4533 4.4533 4.4533 Au
2.2266 2.2266 2.2266 Rb
6.6799 6.6799 6.6799 Rb
0.0000 0.0000 0.0000 Rh



Mg6CdSiO8 | Materials Project | PBE | relaxed; space-group type = No. 123; excess energy over the best structure of this formula in the dataset = 0 meV/atom; formation enthalpy at 0 K = -2.47 eV/atom
1.0
-3.0176 1.7394 8.0781
0.0832 -4.3040 0.9578
4.1417 0.4050 1.4599
Mg O Si Cd
6 8 1 1
Cartesian
-2.1948 -0.8629 6.4658 Mg
0.6037 -1.0798 5.2479 Mg
-0.7396 -1.7017 2.5702 Mg
1.2897 0.6528 2.8212 Mg
-0.1655 1.4916 6.7169 Mg
-1.5088 0.8697 4.0391 Mg
0.5621 1.0722 4.7690 O
2.0709 0.2025 0.7300 O
-1.4672 -1.2823 4.5180 O
0.0416 -2.1520 0.4789 O
-2.2293 1.2850 5.9679 O
-0.1009 -0.6737 7.1341 O
-0.7883 0.4544 2.1102 O
1.3083 -1.4860 3.3618 O
0.0000 0.0000 0.0000 Si
2.1125 -1.9495 1.2089 Cd



Cs3AuF6 | Materials Project | PBE | relaxed; space-group type = No. 2; formation enthalpy at 0 K = -2.30 eV/atom
1.0
-4.1505 -7.6753 0.6260
-3.4641 6.9348 -0.7323
-0.1714 1.2204 -7.6306
F Au Cs
6 1 3
Cartesian
-1.9591 0.9496 -1.7497 F
-1.1080 -0.4686 -7.1448 F
-1.2824 2.1721 -6.2784 F
-6.6779 0.9485 -0.5921 F
-6.5035 -1.6921 -1.4585 F
-5.8269 -0.4696 -5.9872 F
0.0000 0.0000 0.0000 Au
-1.7321 3.4674 -0.3662 Cs
-0.0857 0.6102 -3.8153 Cs
-3.8073 -0.3702 -0.0532 Cs



Na6Nb4Al4Si7S5O48 | Materials Project | PBE | relaxed; space-group type = No. 1; formation enthalpy at 0 K = -2.71 eV/atom
1.0
-13.4646 8.6096 -7.2077
-0.6343 -8.5750 1.5289
-8.1717 4.2164 20.4862
O Si Na S Al Nb
144 21 18 15 12 12
Cartesian
-8.5213 0.3376 15.1167 O
-9.8393 1.0386 11.5523 O
-6.2784 -0.8334 -1.6220 O
-8.0495 2.8234 16.0768 O
-13.1029 0.1112 11.7370 O
-12.2376 6.5587 -2.9012 O
-7.0055 0.7638 7.4457 O
-8.6309 3.4477 0.6242 O
-15.2324 3.3794 7.5148 O
-16.1730 1.1785 3.3709 O
-14.6630 7.6126 3.0590 O
-9.4701 1.1867 6.4074 O
-14.0701 4.3243 -2.9387 O
-14.5944 1.8007 -3.8552 O
-3.5636 -2.3697 5.3686 O
-3.3949 -6.7638 4.8360 O
-14.4582 6.6434 15.1359 O
-6.2027 -0.6793 9.2797 O
-7.7866 3.3030 6.5647 O
-13.7623 5.1502 3.7704 O
-10.0300 -2.2714 17.6723 O
-13.6612 0.6600 14.2075 O
-18.0922 7.6742 6.8751 O
-13.5893 0.4875 3.2107 O
-10.1310 3.3362 8.3043 O
-7.3541 -0.0507 0.4459 O
-8.1730 -0.1372 17.8106 O
-20.1927 8.8603 12.7962 O
-6.4085 3.7657 -1.1302 O
-16.3122 5.4919 2.6909 O
-11.5134 5.4578 8.9706 O
-3.5223 -0.5120 -0.5533 O
-14.2538 7.1878 5.8785 O
-20.3332 5.1185 10.5714 O
-1.8732 -0.6825 4.0752 O
-10.7798 0.2809 16.7263 O
-15.3212 7.9832 7.9424 O
-6.9255 -0.3779 3.1308 O
-14.7520 1.4819 5.5172 O
-11.2366 5.0745 4.4726 O
-8.6052 -1.8990 4.4407 O
-12.7875 3.0723 8.5409 O
-13.0154 8.0803 -4.6794 O
-4.0655 -5.3814 9.4702 O
-11.3149 3.3762 10.7160 O
-11.5825 -1.9677 12.9065 O
-5.6805 -1.1116 6.8918 O
-15.9939 0.5639 15.9229 O
-15.2546 2.3009 0.8319 O
-9.0872 3.8624 2.9985 O
-10.9147 4.8781 17.3062 O
-10.8790 -0.8680 10.3831 O
-9.2256 -3.7129 19.5012 O
-11.3994 -0.2763 1.7955 O
-8.6841 -0.2972 -1.5525 O
-6.8908 1.9264 13.9508 O
-12.1621 2.4365 17.4354 O
-6.7194 -3.6854 6.8590 O
-5.2262 1.6083 3.5098 O
-12.9437 7.3783 7.8564 O
-8.7952 3.7170 11.5113 O
-18.8209 4.7103 15.5499 O
-4.6497 -0.3774 1.6306 O
-10.8585 0.9486 4.1728 O
-3.3959 -2.2932 1.1151 O
-12.9310 3.3612 -5.1740 O
-15.2511 4.8371 11.4347 O
-12.8458 1.7023 0.7379 O
-10.0364 -2.4302 1.2568 O
-18.8434 6.5560 9.3812 O
-4.6699 -4.8574 5.3552 O
-17.4267 4.5377 13.1733 O
-11.7689 6.1304 -5.2812 O
-12.1172 6.7072 13.5333 O
-16.1335 6.8602 10.3736 O
-4.6854 0.7502 8.1103 O
-12.1893 1.0641 6.5854 O
-17.7417 3.4625 6.7460 O
-7.7244 -2.0475 15.9665 O
-16.9650 7.5382 4.6892 O
-14.4687 6.1722 -1.1768 O
-4.5095 -4.8902 1.1412 O
-7.7447 -2.2782 -0.5055 O
-20.1709 4.4996 13.2948 O
-10.6028 6.2083 1.9982 O
-10.2754 -1.7101 14.9182 O
-12.0022 0.3969 19.1543 O
-2.0241 -4.6085 2.0321 O
-9.3772 0.5558 9.1804 O
-14.8224 7.0616 12.3491 O
-12.1076 5.8959 -0.1988 O
-8.0740 -2.8262 9.1257 O
-4.2105 -3.3752 7.6849 O
-5.4424 -3.2333 10.1998 O
-16.7408 2.0253 14.1155 O
-13.5685 4.5135 16.3477 O
-7.8032 2.3652 18.8605 O
-2.1965 -0.2015 1.4096 O
-13.7687 3.7275 -0.2825 O
-9.5611 2.5731 13.8619 O
-18.1968 9.4624 5.2018 O
-7.4475 -2.8549 2.3210 O
-15.8978 8.3623 -0.6276 O
-10.1499 1.7843 -2.5346 O
-16.1124 5.0637 16.5095 O
-10.2876 3.8361 -4.2977 O
-7.5443 2.8033 9.3492 O
-16.0463 5.0114 5.5241 O
-16.8643 2.6191 11.3886 O
-6.1054 3.1003 11.5147 O
-13.7276 6.2436 10.3131 O
-8.8174 4.1039 -2.1398 O
-11.3116 -0.6094 -2.5108 O
-5.9620 -1.2087 12.0909 O
-12.4070 2.9765 3.0966 O
-13.4457 0.1771 17.0025 O
-17.6707 9.2312 13.7158 O
-18.3729 2.3346 9.1927 O
-3.9218 1.9029 5.4673 O
-8.5343 -0.8787 11.0050 O
-10.8747 4.7879 13.0296 O
-7.7216 -3.2709 11.8307 O
-10.5445 -1.8456 20.0577 O
-11.9480 2.2981 12.9762 O
-5.9535 -2.5811 4.5180 O
-14.1877 1.5001 -1.2303 O
-9.3961 -3.1750 6.8964 O
-14.5102 2.3680 12.3144 O
-5.5817 2.0495 0.8702 O
-10.1539 2.0251 1.7340 O
-11.5982 3.9051 -2.0027 O
-7.8308 1.9278 2.3940 O
-9.4045 0.7376 20.0617 O
-12.9267 3.6145 5.7147 O
-4.9667 1.6493 -1.6617 O
-14.4537 0.8308 8.3584 O
-17.5386 8.7976 9.2882 O
-10.8185 -1.0086 6.0479 O
-14.9383 4.1854 14.1324 O
-18.9258 10.8952 9.9597 O
-17.2592 2.5085 16.4940 O
-16.6380 5.5865 8.0479 O
-18.8433 6.6912 13.7353 O
-6.4102 -3.9469 15.4123 O
-14.8382 0.5510 4.1850 Si
-8.0346 0.7406 19.1528 Si
-11.4998 3.8255 9.1958 Si
-12.0125 0.8051 17.5707 Si
-18.7201 5.0153 13.9569 Si
-18.0920 1.8592 10.7464 Si
-2.1927 -1.4920 5.4402 Si
-10.8628 6.6704 0.4267 Si
-10.2194 3.4273 -2.6660 Si
-10.8628 0.6143 5.7434 Si
-16.4083 4.3925 7.0135 Si
-7.4018 3.7415 10.7197 Si
-7.1326 -1.9219 3.6801 Si
-8.0502 -3.6502 7.7223 Si
-13.2706 1.3878 12.7037 Si
-14.9230 5.0900 15.4438 Si
-5.2617 2.8052 -0.4928 Si
-14.3199 3.3836 -4.1945 Si
-12.5204 4.1230 4.1860 Si
-8.3769 1.9222 14.6994 Si
-4.2724 -3.7480 9.2371 Si
-4.1264 -3.4838 3.3533 Na
-4.7186 -6.3539 11.7647 Na
-12.3274 1.5521 -3.2302 Na
-11.4249 3.3565 15.0378 Na
-13.0929 4.2178 12.3258 Na
-10.8103 0.7337 -0.3490 Na
-18.1887 7.8010 11.5857 Na
-14.9098 2.7860 9.9138 Na
-6.7777 4.1980 -3.5475 Na
-9.2450 -0.1337 2.6080 Na
-9.8548 -2.9969 10.9892 Na
-14.0871 0.0417 -5.6344 Na
-7.3941 1.4336 4.9570 Na
-8.1276 -1.4812 13.4286 Na
-15.9151 4.3481 -1.0964 Na
-14.0372 5.8113 1.2126 Na
-10.8461 6.3828 6.6148 Na
-6.3638 0.0932 15.9276 Na
-3.9898 2.2585 4.0306 S
-14.0903 7.9773 7.1096 S
-11.4834 -2.3289 14.3338 S
-13.9647 2.2911 0.0204 S
-10.3036 -2.8435 18.9829 S
-18.1746 7.9541 5.4194 S
-8.9494 2.8314 1.9622 S
-3.4468 -0.7899 0.8937 S
-5.9277 -0.1331 7.9442 S
-6.5966 -2.8950 16.4460 S
-14.9900 6.2532 11.1011 S
-7.5466 -0.8174 -0.7962 S
-17.0970 1.5071 15.4341 S
-9.6491 -0.0038 10.5283 S
-11.9231 7.1521 -4.2037 S
-5.2071 -2.8987 6.2021 Al
-12.0250 1.2228 2.7712 Al
-16.9056 7.2336 8.5683 Al
-6.9457 -2.3728 10.4294 Al
-6.1395 0.8164 2.0040 Al
-1.2539 0.6105 3.0760 Al
-10.2977 2.8386 12.1604 Al
-12.7298 -1.4790 11.1164 Al
-9.2914 -0.6228 16.4574 Al
-12.9467 5.1530 -1.6787 Al
-16.0214 3.3913 12.8558 Al
-9.5642 0.3558 -3.5166 Al
-12.7757 4.2113 17.9929 Nb
-15.3331 6.1411 4.1502 Nb
-18.7186 11.2771 6.0190 Nb
-2.8851 -4.1390 0.3397 Nb
-8.6462 2.2343 7.8725 Nb
-14.3057 -0.5591 15.4631 Nb
-20.3756 12.0380 10.3246 Nb
-19.4843 8.2657 14.5911 Nb
-13.6384 2.3379 6.8904 Nb
-8.5650 -3.6062 0.9507 Nb
-10.2747 -2.6270 5.2190 Nb
-16.3274 10.0126 0.1514 Nb



SnRh3 | Materials Project | PBE | relaxed; space-group type = No. 194; formation enthalpy at 0 K = -0.26 eV/atom
1.0
2.8381 -4.9157 0.0000
2.8381 4.9157 0.0000
0.0000 0.0000 4.5094
Rh Sn
6 2
Cartesian
1.3877 -0.8012 3.3820 Rh
2.8381 -3.3133 3.3820 Rh
1.3877 0.8012 1.1273 Rh
4.2884 0.8012 1.1273 Rh
2.8381 3.3133 1.1273 Rh
4.2884 -0.8012 3.3820 Rh
2.8381 -1.6386 1.1273 Sn
2.8381 1.6386 3.3820 Sn



SeBr | Materials Project | PBE | relaxed; largest piezoelectric modulus = 0.4 C/m²; space-group type = No. 41; formation enthalpy at 0 K = -0.35 eV/atom
1.0
4.4414 0.4991 0.0609
-1.1001 -0.8398 -4.2501
-1.6304 14.8137 -2.5050
Br Se
4 4
Cartesian
0.8174 4.7128 -3.2189 Br
3.8658 2.8591 -0.6367 Br
-2.1096 11.6094 -6.1143 Br
0.9388 9.7557 -3.5321 Br
0.1390 14.1491 -3.1443 Se
0.2743 0.4563 -1.9229 Se
1.2886 6.2491 -5.0259 Se
2.4659 8.0156 -4.2305 Se



Er3Ru2 | Materials Project | PBE | relaxed; space-group type = No. 176; excess energy over the best structure of this formula in the dataset = 0 meV/atom; formation enthalpy at 0 K = -0.31 eV/atom
1.0
-3.4053 6.4734 -1.7933
1.6166 -5.0198 -5.3764
-4.2082 -2.0373 0.6368
Ru Er
4 6
Cartesian
0.0000 0.0000 0.0000 Ru
-1.1094 -1.6980 -4.0228 Ru
-4.8875 1.1144 -2.5101 Ru
-2.1041 -1.0186 0.3184 Ru
-3.5744 -1.4801 -2.1327 Er
-2.4225 0.8964 -4.4002 Er
-3.6960 3.9231 -3.1326 Er
-2.3009 -4.5067 -3.4003 Er
-3.7653 -2.1632 -5.5803 Er
-2.2316 1.5796 -0.9526 Er



ReB3 | Materials Project | PBE | relaxed; space-group type = No. 194; formation enthalpy at 0 K = 0.75 eV/atom
1.0
0.8092 2.6016 1.5764
-1.3979 -2.3833 1.5081
6.8239 -3.0422 1.5178
B Re
6 2
Cartesian
3.4120 -1.5211 0.7589 B
3.1390 -2.4162 2.3764 B
3.0962 -0.4075 2.2260 B
5.7724 -3.5903 2.9621 B
0.0000 0.0000 0.0000 B
0.4627 0.7665 1.6402 B
5.1914 -1.3416 2.6920 Re
1.0438 -1.4822 1.9103 Re